Entry 1:
! ZnNiTe3O8 r²SCAN relaxed; values from VASP
&SYSTEM
  ibrav = 0, nat = 26, ntyp = 4
/
ATOMIC_SPECIES
Zn 65.41 Zn.upf
Ni 58.69 Ni.upf
Te 127.60 Te.upf
O 16.00 O.upf
CELL_PARAMETERS angstrom
6.239 -2.597 0.000
6.239 2.597 0.000
-1.758 0.000 11.458
ATOMIC_POSITIONS crystal
Zn 0.230 0.230 0.098
Zn 0.770 0.770 0.902
Ni 0.151 0.380 0.395
Ni 0.620 0.849 0.605
Te 0.023 0.977 0.500
Te 0.140 0.127 0.801
Te 0.251 0.476 0.690
Te 0.359 0.641 0.000
Te 0.524 0.749 0.310
Te 0.873 0.860 0.199
O 0.041 0.359 0.938
O 0.050 0.789 0.895
O 0.171 0.056 0.384
O 0.172 0.664 0.397
O 0.211 0.950 0.105
O 0.214 0.559 0.115
O 0.336 0.828 0.603
O 0.357 0.246 0.552
O 0.441 0.786 0.885
O 0.456 0.070 0.773
O 0.485 0.052 0.286
O 0.641 0.959 0.062
O 0.754 0.643 0.448
O 0.930 0.544 0.227
O 0.944 0.829 0.616
O 0.948 0.515 0.714
! * magnetic moment: 4.0 μB/cell
! * VASP energy: -12.388 eV/atom
! * calculated formation energy: -1.240 eV per atom
! * space group: C2, No. 5

Entry 2:
! TmNiO3 r²SCAN relaxed; values from VASP
&SYSTEM
  ibrav = 0, nat = 20, ntyp = 3
/
ATOMIC_SPECIES
Tm 168.93 Tm.upf
Ni 58.69 Ni.upf
O 16.00 O.upf
CELL_PARAMETERS angstrom
5.491 0.000 0.000
0.000 7.304 0.000
0.000 0.000 5.081
ATOMIC_POSITIONS crystal
Tm 0.080 0.250 0.023
Tm 0.420 0.750 0.523
Tm 0.580 0.250 0.477
Tm 0.920 0.750 0.977
Ni 0.000 0.000 0.500
Ni 0.000 0.500 0.500
Ni 0.500 0.000 0.000
Ni 0.500 0.500 0.000
O 0.034 0.750 0.391
O 0.193 0.554 0.809
O 0.193 0.946 0.809
O 0.307 0.054 0.309
O 0.307 0.446 0.309
O 0.466 0.250 0.891
O 0.534 0.750 0.109
O 0.693 0.554 0.691
O 0.693 0.946 0.691
O 0.807 0.054 0.191
O 0.807 0.446 0.191
O 0.966 0.250 0.609
! * magnetic moment: 4.0 μB/cell
! * VASP energy: -15.606 eV/atom
! * calculated formation energy: -2.602 eV per atom
! * space group: Pnma, No. 62

Entry 3:
! VNiO3 r²SCAN relaxed; values from VASP
&SYSTEM
  ibrav = 0, nat = 10, ntyp = 3
/
ATOMIC_SPECIES
V 50.94 V.upf
Ni 58.69 Ni.upf
O 16.00 O.upf
CELL_PARAMETERS angstrom
4.936 0.000 0.000
2.460 4.356 0.000
0.054 2.816 4.528
ATOMIC_POSITIONS crystal
V 0.147 0.211 0.443
V 0.853 0.789 0.557
Ni 0.349 0.801 0.052
Ni 0.651 0.199 0.948
O 0.045 0.005 0.261
O 0.234 0.319 0.743
O 0.429 0.302 0.261
O 0.571 0.698 0.739
O 0.766 0.681 0.257
O 0.955 0.995 0.739
! * magnetic moment: 6.0 μB/cell
! * VASP energy: -10.830 eV/atom
! * calculated formation energy: -2.032 eV per atom
! * space group: P-1, No. 2

Entry 4:
! NiWO4 r²SCAN relaxed; values from VASP
&SYSTEM
  ibrav = 0, nat = 12, ntyp = 3
/
ATOMIC_SPECIES
Ni 58.69 Ni.upf
W 183.84 W.upf
O 16.00 O.upf
CELL_PARAMETERS angstrom
4.582 0.000 0.000
0.000 5.661 0.000
-0.004 0.000 4.919
ATOMIC_POSITIONS crystal
Ni 0.000 0.156 0.250
Ni 0.000 0.844 0.750
W 0.500 0.321 0.750
W 0.500 0.679 0.250
O 0.240 0.122 0.905
O 0.240 0.878 0.405
O 0.278 0.391 0.430
O 0.278 0.609 0.930
O 0.722 0.391 0.070
O 0.722 0.609 0.570
O 0.760 0.122 0.595
O 0.760 0.878 0.095
! * magnetic moment: 4.0 μB/cell
! * VASP energy: -16.515 eV/atom
! * calculated formation energy: -1.975 eV per atom
! * space group: P2/c, No. 13

Entry 5:
! Sc2NiOs r²SCAN relaxed; values from VASP
&SYSTEM
  ibrav = 0, nat = 4, ntyp = 3
/
ATOMIC_SPECIES
Sc 44.96 Sc.upf
Ni 58.69 Ni.upf
Os 190.23 Os.upf
CELL_PARAMETERS angstrom
0.000 3.181 3.181
3.181 0.000 3.181
3.181 3.181 0.000
ATOMIC_POSITIONS crystal
Sc 0.250 0.250 0.250
Sc 0.750 0.750 0.750
Ni 0.000 0.000 0.000
Os 0.500 0.500 0.500
! * magnetic moment: 0.0 μB/cell
! * VASP energy: -22.449 eV/atom
! * calculated formation energy: -0.508 eV per atom
! * space group: Fm-3m, No. 225

Entry 6:
! NiP r²SCAN relaxed; values from VASP
&SYSTEM
  ibrav = 0, nat = 12, ntyp = 2
/
ATOMIC_SPECIES
Ni 58.69 Ni.upf
P 30.97 P.upf
CELL_PARAMETERS angstrom
5.052 -2.945 0.000
5.052 2.945 0.000
0.000 0.000 4.933
ATOMIC_POSITIONS crystal
Ni 0.053 0.947 0.500
Ni 0.297 0.410 0.530
Ni 0.410 0.297 0.030
Ni 0.590 0.703 0.530
Ni 0.703 0.590 0.030
Ni 0.947 0.053 0.000
P 0.027 0.653 0.193
P 0.312 0.688 0.842
P 0.347 0.973 0.193
P 0.653 0.027 0.693
P 0.688 0.312 0.342
P 0.973 0.347 0.693
! * magnetic moment: 0.0 μB/cell
! * VASP energy: -10.916 eV/atom
! * calculated formation energy: -0.424 eV per atom
! * space group: Cmc2_1, No. 36

Entry 7:
! NiP r²SCAN relaxed; values from VASP
&SYSTEM
  ibrav = 0, nat = 40, ntyp = 2
/
ATOMIC_SPECIES
Ni 58.69 Ni.upf
P 30.97 P.upf
CELL_PARAMETERS angstrom
4.896 0.000 0.000
0.000 16.989 0.000
0.000 0.000 5.918
ATOMIC_POSITIONS crystal
Ni 0.001 0.250 0.199
Ni 0.016 0.041 0.307
Ni 0.016 0.459 0.307
Ni 0.028 0.163 0.805
Ni 0.028 0.337 0.805
Ni 0.472 0.663 0.305
Ni 0.472 0.837 0.305
Ni 0.484 0.541 0.807
Ni 0.484 0.959 0.807
Ni 0.499 0.750 0.699
Ni 0.501 0.250 0.301
Ni 0.516 0.041 0.193
Ni 0.516 0.459 0.193
Ni 0.528 0.163 0.695
Ni 0.528 0.337 0.695
Ni 0.972 0.663 0.195
Ni 0.972 0.837 0.195
Ni 0.984 0.541 0.693
Ni 0.984 0.959 0.693
Ni 0.999 0.750 0.801
P 0.161 0.750 0.437
P 0.173 0.046 0.943
P 0.173 0.454 0.943
P 0.197 0.154 0.436
P 0.197 0.346 0.436
P 0.303 0.654 0.936
P 0.303 0.846 0.936
P 0.327 0.546 0.443
P 0.327 0.954 0.443
P 0.339 0.250 0.937
P 0.661 0.750 0.063
P 0.673 0.046 0.557
P 0.673 0.454 0.557
P 0.697 0.154 0.064
P 0.697 0.346 0.064
P 0.803 0.654 0.564
P 0.803 0.846 0.564
P 0.827 0.546 0.057
P 0.827 0.954 0.057
P 0.839 0.250 0.563
! * magnetic moment: 0.0 μB/cell
! * VASP energy: -10.934 eV/atom
! * calculated formation energy: -0.442 eV per atom
! * space group: Pnma, No. 62

Entry 8:
! NiP r²SCAN relaxed; values from VASP
&SYSTEM
  ibrav = 0, nat = 28, ntyp = 2
/
ATOMIC_SPECIES
Ni 58.69 Ni.upf
P 30.97 P.upf
CELL_PARAMETERS angstrom
11.943 -2.969 0.000
11.943 2.969 0.000
0.000 0.000 4.883
ATOMIC_POSITIONS crystal
Ni 0.050 0.950 0.518
Ni 0.092 0.205 0.532
Ni 0.205 0.092 0.032
Ni 0.235 0.352 0.000
Ni 0.352 0.235 0.500
Ni 0.384 0.491 0.546
Ni 0.491 0.384 0.046
Ni 0.509 0.616 0.546
Ni 0.616 0.509 0.046
Ni 0.648 0.765 0.000
Ni 0.765 0.648 0.500
Ni 0.795 0.908 0.532
Ni 0.908 0.795 0.032
Ni 0.950 0.050 0.018
P 0.017 0.404 0.843
P 0.117 0.746 0.217
P 0.161 0.547 0.689
P 0.254 0.883 0.217
P 0.313 0.687 0.855
P 0.404 0.017 0.343
P 0.453 0.839 0.689
P 0.547 0.161 0.189
P 0.596 0.983 0.843
P 0.687 0.313 0.355
P 0.746 0.117 0.717
P 0.839 0.453 0.189
P 0.883 0.254 0.717
P 0.983 0.596 0.343
! * magnetic moment: 0.0 μB/cell
! * VASP energy: -10.937 eV/atom
! * calculated formation energy: -0.445 eV per atom
! * space group: Cmc2_1, No. 36

Q: VASP energy of number 4 (NiWO4)?
A: -16.515 eV/atom

Q: Among the records above, which one has the lowest VASP energy?
A: Sc2NiOs

Repeat the fifth record exactly.
! Sc2NiOs r²SCAN relaxed; values from VASP
&SYSTEM
  ibrav = 0, nat = 4, ntyp = 3
/
ATOMIC_SPECIES
Sc 44.96 Sc.upf
Ni 58.69 Ni.upf
Os 190.23 Os.upf
CELL_PARAMETERS angstrom
0.000 3.181 3.181
3.181 0.000 3.181
3.181 3.181 0.000
ATOMIC_POSITIONS crystal
Sc 0.250 0.250 0.250
Sc 0.750 0.750 0.750
Ni 0.000 0.000 0.000
Os 0.500 0.500 0.500
! * magnetic moment: 0.0 μB/cell
! * VASP energy: -22.449 eV/atom
! * calculated formation energy: -0.508 eV per atom
! * space group: Fm-3m, No. 225